# 1
Entry from the Materials Project database: a geometry-optimized BeGaIr2 structure (r2SCAN).

Calculated values
* E_form: -0.56 eV per atom
* total magnetization: 0.00 μB per formula unit
* uncorrected energy: -30.6845 eV per atom

Cell: 4.1310 4.1310 4.1310 Å, 60.00 60.00 60.00°
Closest atoms and distances in Å follow each position.
Fractional coordinates of all 4 atoms:
Be1 0.2500 0.2500 0.2500  8 Ir 2.53
Ga1 0.7500 0.7500 0.7500  8 Ir 2.53
Ir1 0.0000 0.0000 0.0000  4 Be 2.53, 4 Ga 2.53
Ir2 0.5000 0.5000 0.5000  4 Be 2.53, 4 Ga 2.53

# 2
Entry from the Materials Project database: a geometry-optimized Hg2Pt2O7 structure (r2SCAN).

Calculated values
* E_form: -0.51 eV per atom
* total magnetization: 0.00 μB per formula unit
* uncorrected energy: -22.6456 eV per atom

Cell: 7.2300 7.2302 7.2300 Å, 60.00 60.00 60.00°
Closest atoms and distances in Å follow each position.
Fractional coordinates of all 22 atoms:
Hg1 0.1250 0.1250 0.1250  2 O 2.21
Hg2 0.6250 0.1250 0.1250  2 O 2.21
Hg3 0.1250 0.6250 0.1250  2 O 2.21
Hg4 0.1250 0.1250 0.6250  2 O 2.21
Pt1 0.6250 0.6250 0.1250  6 O 1.98
Pt2 0.6250 0.6250 0.6250  6 O 1.98
Pt3 0.6250 0.1250 0.6250  6 O 1.98
Pt4 0.1250 0.6250 0.6250  6 O 1.98
O1 0.7034 0.2967 0.2966  2 Pt 1.98
O2 0.7034 0.2967 0.7034  2 Pt 1.98
O3 0.0000 0.0000 0.0000  4 Hg 2.21
O4 0.2966 0.7034 0.2966  2 Pt 1.98
O5 0.7034 0.7034 0.2967  2 Pt 1.98
O6 0.9533 0.5467 0.5466  2 Pt 1.98
O7 0.2967 0.7034 0.7034  2 Pt 1.98
O8 0.2500 0.2500 0.2500  4 Hg 2.21
O9 0.9534 0.5467 0.9534  2 Pt 1.98
O10 0.5466 0.9533 0.5466  2 Pt 1.98
O11 0.5466 0.5466 0.9533  2 Pt 1.98
O12 0.9534 0.9533 0.5466  2 Pt 1.98
O13 0.5466 0.9533 0.9534  2 Pt 1.98
O14 0.2966 0.2967 0.7034  2 Pt 1.98

# 3
Entry from the Materials Project database: a geometry-optimized NdCo2Si2 structure (r2SCAN).

Calculated values
* E_form: -0.70 eV per atom
* total magnetization: 0.00 μB per formula unit
* uncorrected energy: -15.3847 eV per atom

Cell: 3.9179 3.9179 5.7043 Å, 110.08 110.08 90.00°
Closest atoms and distances in Å follow each position.
Fractional coordinates of all 5 atoms:
Nd1 0.0000 0.0000 0.0000  8 Si 3.08, 8 Co 3.17
Co1 0.2500 0.7500 0.5000  4 Si 2.27
Co2 0.7500 0.2500 0.5000  4 Si 2.27
Si1 0.6349 0.6349 0.2698  4 Co 2.27
Si2 0.3651 0.3651 0.7302  4 Co 2.27

# 4
Entry from the Materials Project database: a geometry-optimized AlPS4 structure (r2SCAN).

Calculated values
* E_form: -0.68 eV per atom
* total magnetization: 0.00 μB per formula unit
* uncorrected energy: -8.6588 eV per atom

Cell: 5.6541 5.6550 10.2067 Å, 90.00 90.00 90.00°
Closest atoms and distances in Å follow each position.
Fractional coordinates of all 12 atoms:
Al1 0.0000 0.0000 0.0000  4 S 2.25
Al2 0.5000 0.0000 0.5000  4 S 2.25
P1 0.0000 0.5000 0.0000  4 S 2.05
P2 0.0000 0.0000 0.5000  4 S 2.05
S1 0.2038 0.2767 0.1112  1 P 2.05, 1 Al 2.25
S2 0.2038 0.7233 0.8888  1 P 2.05, 1 Al 2.25
S3 0.7962 0.2767 0.8888  1 P 2.05, 1 Al 2.25
S4 0.7962 0.7233 0.1112  1 P 2.05, 1 Al 2.25
S5 0.7760 0.7982 0.6124  1 P 2.05, 1 Al 2.25
S6 0.7760 0.2018 0.3876  1 P 2.05, 1 Al 2.25
S7 0.2240 0.7982 0.3876  1 P 2.05, 1 Al 2.25
S8 0.2240 0.2018 0.6124  1 P 2.05, 1 Al 2.25

# 5
Entry from the Materials Project database: a geometry-optimized DyScZn2 structure (r2SCAN).

Calculated values
* E_form: -0.38 eV per atom
* total magnetization: 0.00 μB per formula unit
* uncorrected energy: -15.6828 eV per atom

Cell: 4.8719 4.8719 4.8719 Å, 60.00 60.00 60.00°
Closest atoms and distances in Å follow each position.
Fractional coordinates of all 4 atoms:
Dy1 0.5000 0.5000 0.5000  8 Zn 2.98
Sc1 0.0000 0.0000 0.0000  8 Zn 2.98
Zn1 0.2500 0.2500 0.2500  4 Dy 2.98, 4 Sc 2.98
Zn2 0.7500 0.7500 0.7500  4 Dy 2.98, 4 Sc 2.98

# 6
Entry from the Materials Project database: a geometry-optimized PHF4 structure (r2SCAN).

Calculated values
* E_form: -2.21 eV per atom
* total magnetization: 0.00 μB per formula unit
* uncorrected energy: -6.3712 eV per atom

Cell: 7.8029 4.4535 9.4304 Å, 62.81 90.00 90.00°
Closest atoms and distances in Å follow each position.
Fractional coordinates of all 24 atoms:
P1 0.2843 0.6833 0.3271  1 H 1.38, 1 F 1.54
P2 0.7843 0.3167 0.1729  1 H 1.38, 1 F 1.54
P3 0.7157 0.3167 0.6729  1 H 1.38, 1 F 1.54
P4 0.2157 0.6833 0.8271  1 H 1.38, 1 F 1.54
H1 0.3883 0.8431 0.3895  1 P 1.38
H2 0.8883 0.1569 0.1105  1 P 1.38
H3 0.6117 0.1569 0.6105  1 P 1.38
H4 0.1117 0.8431 0.8895  1 P 1.38
F1 0.3482 0.9984 0.7664  1 P 1.62
F2 0.8482 0.0016 0.7336  1 P 1.62
F3 0.6518 0.0016 0.2336  1 P 1.62
F4 0.1518 0.9984 0.2664  1 P 1.62
F5 0.0803 0.3728 0.8861  1 P 1.62
F6 0.5803 0.6272 0.6139  1 P 1.62
F7 0.9197 0.6272 0.1139  1 P 1.62
F8 0.4197 0.3728 0.3861  1 P 1.62
F9 0.2002 0.7310 0.6544  1 P 1.55
F10 0.7002 0.2690 0.8456  1 P 1.55
F11 0.7998 0.2690 0.3456  1 P 1.55
F12 0.2998 0.7310 0.1544  1 P 1.55
F13 0.3589 0.4385 0.9260  1 P 1.54
F14 0.8589 0.5615 0.5740  1 P 1.54
F15 0.6411 0.5615 0.0740  1 P 1.54
F16 0.1411 0.4385 0.4260  1 P 1.54

# 7
Entry from the Materials Project database: a geometry-optimized KMgF3 structure (r2SCAN).

Calculated values
* E_form: -3.57 eV per atom
* total magnetization: 0.00 μB per formula unit
* uncorrected energy: -7.4793 eV per atom

Cell: 3.9785 3.9785 3.9785 Å, 90.00 90.00 90.00°
Closest atoms and distances in Å follow each position.
Fractional coordinates of all 5 atoms:
K1 0.5000 0.5000 0.5000  12 F 2.81
Mg1 0.0000 0.0000 0.0000  6 F 1.99
F1 0.0000 0.5000 0.0000  2 Mg 1.99
F2 0.0000 0.0000 0.5000  2 Mg 1.99
F3 0.5000 0.0000 0.0000  2 Mg 1.99

# 8
Entry from the Materials Project database: a geometry-optimized Rb2VF6 structure (r2SCAN).

Calculated values
* E_form: -3.15 eV per atom
* total magnetization: 1.00 μB per formula unit
* uncorrected energy: -9.8952 eV per atom

Cell: 5.9947 5.9947 5.9947 Å, 60.00 60.00 60.00°
Closest atoms and distances in Å follow each position.
Fractional coordinates of all 9 atoms:
Rb1 0.2500 0.2500 0.2500  12 F 3.01
Rb2 0.7500 0.7500 0.7500  12 F 3.01
V1 0.0000 0.0000 0.0000  6 F 1.85
F1 0.7815 0.2185 0.2185  1 V 1.85
F2 0.2185 0.7815 0.7815  1 V 1.85
F3 0.2185 0.7815 0.2185  1 V 1.85
F4 0.7815 0.2185 0.7815  1 V 1.85
F5 0.2185 0.2185 0.7815  1 V 1.85
F6 0.7815 0.7815 0.2185  1 V 1.85

# 9
Entry from the Materials Project database: a geometry-optimized La2Si5Rh3 structure (r2SCAN).

Calculated values
* E_form: -1.00 eV per atom
* total magnetization: 0.00 μB per formula unit
* uncorrected energy: -18.5801 eV per atom

Cell: 8.3126 8.3142 8.3117 Å, 138.64 105.84 88.67°
Closest atoms and distances in Å follow each position.
Fractional coordinates of all 20 atoms:
La1 0.6370 0.8696 0.7673  10 Si 3.07-3.26, 6 Rh 3.17-3.43
La2 0.3632 0.1304 0.2327  10 Si 3.07-3.26, 6 Rh 3.17-3.43
La3 0.8978 0.6304 0.2675  10 Si 3.07-3.26, 6 Rh 3.17-3.43
La4 0.1021 0.3696 0.7323  10 Si 3.07-3.26, 7 Rh 3.17-3.44
Si1 0.0000 0.2499 0.2500  4 Rh 2.47
Si2 0.0000 0.7501 0.7501  4 Rh 2.47
Si3 0.2745 0.5247 0.2502  3 Rh 2.44-2.68, 2 Si 2.52
Si4 0.7257 0.9759 0.2502  3 Rh 2.45-2.68, 2 Si 2.52
Si5 0.7255 0.4753 0.7498  3 Rh 2.44-2.68, 2 Si 2.52
Si6 0.2743 0.0241 0.7498  3 Rh 2.45-2.68, 2 Si 2.52
Si7 0.4582 0.6078 0.8508  3 Rh 2.44-2.46, 2 Si 2.52
Si8 0.7572 0.1076 0.6495  3 Rh 2.44-2.46, 2 Si 2.52
Si9 0.2428 0.8924 0.3505  3 Rh 2.44-2.46, 2 Si 2.52
Si10 0.5418 0.3922 0.1492  3 Rh 2.44-2.46, 2 Si 2.52
Rh1 0.0286 0.1388 0.8902  5 Si 2.44-2.47
Rh2 0.5000 0.7500 0.2501  6 Si 2.46-2.68
Rh3 0.2487 0.6383 0.6099  5 Si 2.44-2.47
Rh4 0.7512 0.3617 0.3901  5 Si 2.44-2.47
Rh5 0.9714 0.8612 0.1098  5 Si 2.44-2.47
Rh6 0.5000 0.2499 0.7499  6 Si 2.46-2.68

# 10
Entry from the Materials Project database: a geometry-optimized HoSi2Ni structure (r2SCAN).

Calculated values
* E_form: -0.87 eV per atom
* total magnetization: 0.00 μB per formula unit
* uncorrected energy: -16.4719 eV per atom

Cell: 3.9270 3.9669 8.4094 Å, 103.64 90.00 90.00°
Closest atoms and distances in Å follow each position.
Fractional coordinates of all 8 atoms:
Ho1 0.2500 0.8940 0.7880  10 Si 2.99-3.11, 4 Ni 3.02
Ho2 0.7500 0.1060 0.2120  10 Si 2.99-3.11, 4 Ni 3.02
Si1 0.2500 0.2499 0.4999  4 Ni 2.30-2.31
Si2 0.7500 0.7501 0.5001  4 Ni 2.30-2.31
Si3 0.7500 0.4597 0.9193  1 Ni 2.24, 2 Si 2.37
Si4 0.2500 0.5403 0.0807  1 Ni 2.24, 2 Si 2.37
Ni1 0.7500 0.3227 0.6454  5 Si 2.24-2.31
Ni2 0.2500 0.6773 0.3546  5 Si 2.24-2.31

# 11
Entry from the Materials Project database: a geometry-optimized Ca2RuO4 structure (r2SCAN).

Calculated values
* E_form: -2.39 eV per atom
* total magnetization: 2.00 μB per formula unit
* uncorrected energy: -11.4465 eV per atom

Cell: 5.3854 5.4226 12.0925 Å, 90.00 90.00 90.00°
Closest atoms and distances in Å follow each position.
Fractional coordinates of all 28 atoms:
Ca1 0.5107 0.0444 0.1507  5 O 2.27-2.47
Ca2 0.0107 0.4556 0.8493  5 O 2.27-2.47
Ca3 0.4893 0.5444 0.3493  5 O 2.27-2.47
Ca4 0.9893 0.9556 0.6507  5 O 2.27-2.47
Ca5 0.4893 0.9556 0.8493  5 O 2.27-2.47
Ca6 0.9893 0.5444 0.1507  5 O 2.27-2.47
Ca7 0.5107 0.4556 0.6507  5 O 2.27-2.47
Ca8 0.0107 0.0444 0.3493  5 O 2.27-2.47
Ru1 0.5000 0.0000 0.5000  6 O 1.97-2.03
Ru2 0.0000 0.5000 0.5000  6 O 1.97-2.03
Ru3 0.5000 0.5000 0.0000  6 O 1.97-2.03
Ru4 0.0000 0.0000 0.0000  6 O 1.97-2.03
O1 0.6984 0.3003 0.4778  2 Ru 1.97
O2 0.1984 0.1997 0.5222  2 Ru 1.97
O3 0.3016 0.8003 0.0222  2 Ru 1.97
O4 0.8016 0.6997 0.9778  2 Ru 1.97
O5 0.3016 0.6997 0.5222  2 Ru 1.97
O6 0.8016 0.8003 0.4778  2 Ru 1.97
O7 0.6984 0.1997 0.9778  2 Ru 1.97
O8 0.1984 0.3003 0.0222  2 Ru 1.97
O9 0.4422 0.9843 0.3339  1 Ru 2.03, 1 Ca 2.27
O10 0.9422 0.5157 0.6661  1 Ru 2.03, 1 Ca 2.27
O11 0.5578 0.4843 0.1661  1 Ru 2.03, 1 Ca 2.27
O12 0.0578 0.0157 0.8339  1 Ru 2.03, 1 Ca 2.27
O13 0.5578 0.0157 0.6661  1 Ru 2.03, 1 Ca 2.27
O14 0.0578 0.4843 0.3339  1 Ru 2.03, 1 Ca 2.27
O15 0.4422 0.5157 0.8339  1 Ru 2.03, 1 Ca 2.27
O16 0.9422 0.9843 0.1661  1 Ru 2.03, 1 Ca 2.27

# 12
Entry from the Materials Project database: a geometry-optimized Tm2Ga9Rh3 structure (r2SCAN).

Calculated values
* E_form: -0.75 eV per atom
* total magnetization: 0.00 μB per formula unit
* uncorrected energy: -18.2988 eV per atom

Cell: 7.4439 7.4439 9.4317 Å, 90.00 90.00 119.76°
Closest atoms and distances in Å follow each position.
Fractional coordinates of all 28 atoms:
Tm1 0.9980 0.6695 0.2500  11 Ga 2.98-3.10
Tm2 0.0020 0.3305 0.7500  11 Ga 2.98-3.10
Tm3 0.6695 0.9980 0.2500  11 Ga 2.98-3.10
Tm4 0.3305 0.0020 0.7500  11 Ga 2.98-3.10
Ga1 0.1276 0.1276 0.2500  2 Rh 2.54, 6 Ga 2.70-2.71
Ga2 0.8724 0.8724 0.7500  2 Rh 2.54, 6 Ga 2.70-2.71
Ga3 0.0013 0.3347 0.0785  3 Rh 2.54-2.59, 3 Ga 2.70-2.84
Ga4 0.9987 0.6653 0.9215  3 Rh 2.54-2.59, 3 Ga 2.70-2.84
Ga5 0.9987 0.6653 0.5785  3 Rh 2.54-2.59, 3 Ga 2.70-2.84
Ga6 0.3347 0.0013 0.4215  3 Rh 2.54-2.59, 3 Ga 2.70-2.84
Ga7 0.0013 0.3347 0.4215  3 Rh 2.54-2.59, 3 Ga 2.70-2.84
Ga8 0.6653 0.9987 0.5785  3 Rh 2.54-2.59, 3 Ga 2.70-2.84
Ga9 0.6653 0.9987 0.9215  3 Rh 2.54-2.59, 3 Ga 2.70-2.84
Ga10 0.3347 0.0013 0.0785  3 Rh 2.54-2.59, 3 Ga 2.70-2.84
Ga11 0.3340 0.3340 0.5679  3 Rh 2.58-2.61, 5 Ga 2.75-2.84
Ga12 0.6660 0.6660 0.4321  3 Rh 2.58-2.61, 5 Ga 2.75-2.84
Ga13 0.6660 0.6660 0.0679  3 Rh 2.58-2.61, 5 Ga 2.75-2.84
Ga14 0.3340 0.3340 0.9321  3 Rh 2.58-2.61, 5 Ga 2.75-2.84
Ga15 0.3372 0.5463 0.2500  2 Rh 2.55, 6 Ga 2.69-2.75
Ga16 0.6628 0.4537 0.7500  2 Rh 2.55, 6 Ga 2.69-2.75
Ga17 0.5463 0.3372 0.2500  2 Rh 2.55, 6 Ga 2.69-2.75
Ga18 0.4537 0.6628 0.7500  2 Rh 2.55, 6 Ga 2.69-2.75
Rh1 0.6716 0.3284 0.0000  8 Ga 2.54-2.61
Rh2 0.3284 0.6716 0.0000  8 Ga 2.54-2.61
Rh3 0.3284 0.6716 0.5000  8 Ga 2.54-2.61
Rh4 0.6716 0.3284 0.5000  8 Ga 2.54-2.61
Rh5 0.0000 0.0000 0.0000  8 Ga 2.54-2.59
Rh6 0.0000 0.0000 0.5000  8 Ga 2.54-2.59